Sr2YGaFe2O7: optimized geometry, PBE with a Hubbard U.

Cell and atoms, written as CIF:
```
data_Sr2YGaFe2O7
_cell_length_a 23.353
_cell_length_b 5.737
_cell_length_c 5.598
_cell_angle_alpha 90.00
_cell_angle_beta 103.84
_cell_angle_gamma 90.00
_space_group_name_H-M_alt 'C 1 c 1'
_space_group_IT_number 9
loop_
_space_group_symop_operation_xyz
'x,y,z'
'x,-y,z+1/2'
'x+1/2,y+1/2,z'
'x+1/2,-y+1/2,z+1/2'
loop_
_atom_site_label
_atom_site_fract_x
_atom_site_fract_y
_atom_site_fract_z
Sr1 0.000 0.222 0.000
Sr2 0.304 0.274 0.300
Y1 0.155 0.249 0.149
Ga1 0.401 0.178 0.927
Fe1 0.081 0.253 0.574
Fe2 0.232 0.247 0.724
O1 0.088 0.493 0.323
O2 0.090 0.007 0.835
O3 0.216 0.486 0.955
O4 0.217 0.012 0.457
O5 0.328 0.305 0.787
O6 0.402 0.122 0.269
O7 0.473 0.308 0.928
```

Properties
energy relative to the elements: -2.597 eV per atom
DFT total energy: -0.251 hartree per atom
total magnetic moment: 0.62 μB/atom